{
  "formula": "Na2CoP2O7",
  "functional": "GGA+U",
  "state": "relaxed",
  "dft_energy_ev_per_cell": -311.18,
  "energy_corrected_mp2020_ev_per_cell": -337.0,
  "crystal_system": "triclinic",
  "de_polymorph_mev_per_atom": 53,
  "e_form_ev_per_atom": -2.42,
  "cell": [[8.6842, 0.0000, 0.0000], [-2.4123, 8.3461, 0.0000], [-1.3658, -1.8381, 10.1956]],
  "species": ["Na", "Na", "Na", "Na", "Na", "Na", "Na", "Na", "Co", "Co", "Co", "Co", "P", "P", "P", "P", "P", "P", "P", "P", "O", "O", "O", "O", "O", "O", "O", "O", "O", "O", "O", "O", "O", "O", "O", "O", "O", "O", "O", "O", "O", "O", "O", "O", "O", "O", "O", "O"],
  "fractional_positions": [[0.0084, 0.4919, 0.2499], [0.2429, 0.7570, 0.5001], [0.2570, 0.7420, 0.9998], [0.4921, 0.0077, 0.2494], [0.5079, 0.9923, 0.7506], [0.7430, 0.2580, 0.0002], [0.7571, 0.2430, 0.4999], [0.9916, 0.5081, 0.7501], [0.0000, 0.0000, 0.5000], [0.2497, 0.2500, 0.2492], [0.5000, 0.5000, 0.0000], [0.7503, 0.7500, 0.7508], [0.0730, 0.8669, 0.2189], [0.1336, 0.9270, 0.7815], [0.3667, 0.5728, 0.7199], [0.4273, 0.6337, 0.2807], [0.5727, 0.3663, 0.7193], [0.6333, 0.4272, 0.2801], [0.8664, 0.0730, 0.2185], [0.9270, 0.1331, 0.7811], [0.0104, 0.2202, 0.2061], [0.0658, 0.8564, 0.3654], [0.0682, 0.7072, 0.1383], [0.0907, 0.0906, 0.8402], [0.1434, 0.9327, 0.6350], [0.2076, 0.5687, 0.6392], [0.2203, 0.0103, 0.2064], [0.2799, 0.4898, 0.2926], [0.2927, 0.9316, 0.8619], [0.3550, 0.5645, 0.8660], [0.4101, 0.4099, 0.6603], [0.4314, 0.7928, 0.3609], [0.4345, 0.6444, 0.1343], [0.4895, 0.2798, 0.2918], [0.5105, 0.7202, 0.7082], [0.5655, 0.3556, 0.8657], [0.5686, 0.2072, 0.6391], [0.5899, 0.5901, 0.3397], [0.6450, 0.4355, 0.1340], [0.7073, 0.0684, 0.1381], [0.7201, 0.5102, 0.7074], [0.7797, 0.9897, 0.7936], [0.7924, 0.4313, 0.3608], [0.8566, 0.0673, 0.3650], [0.9093, 0.9094, 0.1598], [0.9318, 0.2928, 0.8617], [0.9342, 0.1436, 0.6346], [0.9896, 0.7798, 0.7939]]
}

***

{
  "formula": "CaMg6CrO8",
  "functional": "GGA+U",
  "state": "relaxed",
  "dft_energy_ev_per_cell": -98.90,
  "energy_corrected_mp2020_ev_per_cell": -106.4,
  "crystal_system": "tetragonal",
  "de_polymorph_mev_per_atom": 0,
  "e_form_ev_per_atom": -2.85,
  "cell": [[4.4290, 0.0000, 0.0000], [0.0000, 4.4290, 0.0000], [0.0000, 0.0000, 8.5723]],
  "species": ["Ca", "Mg", "Mg", "Mg", "Mg", "Mg", "Mg", "Cr", "O", "O", "O", "O", "O", "O", "O", "O"],
  "fractional_positions": [[0.0000, 0.0000, 0.0000], [0.0000, 0.0000, 0.5000], [0.0000, 0.5000, 0.2553], [0.0000, 0.5000, 0.7447], [0.5000, 0.0000, 0.2553], [0.5000, 0.0000, 0.7447], [0.5000, 0.5000, 0.5000], [0.5000, 0.5000, 0.0000], [0.0000, 0.0000, 0.2653], [0.0000, 0.0000, 0.7347], [0.0000, 0.5000, 0.0000], [0.0000, 0.5000, 0.5000], [0.5000, 0.0000, 0.0000], [0.5000, 0.0000, 0.5000], [0.5000, 0.5000, 0.2514], [0.5000, 0.5000, 0.7486]]
}

***

{
  "formula": "TmAgW2O8",
  "functional": "GGA+U",
  "state": "relaxed",
  "dft_energy_ev_per_cell": -174.00,
  "energy_corrected_mp2020_ev_per_cell": -202.7,
  "crystal_system": "monoclinic",
  "e_form_ev_per_atom": -2.38,
  "cell": [[4.9845, -5.3739, 0.0000], [4.9845, 5.3739, 0.0000], [-4.3619, 0.0000, 5.8346]],
  "species": ["Tm", "Tm", "Ag", "Ag", "W", "W", "W", "W", "O", "O", "O", "O", "O", "O", "O", "O", "O", "O", "O", "O", "O", "O", "O", "O"],
  "fractional_positions": [[0.1984, 0.8016, 0.0000], [0.8016, 0.1984, 0.0000], [0.1815, 0.1815, 0.5182], [0.8185, 0.8185, 0.4818], [0.2887, 0.2887, 0.0318], [0.3343, 0.6657, 0.5000], [0.6657, 0.3343, 0.5000], [0.7113, 0.7113, 0.9682], [0.0539, 0.0539, 0.8639], [0.1443, 0.3979, 0.2440], [0.1855, 0.7216, 0.6526], [0.1989, 0.4632, 0.9150], [0.2784, 0.8145, 0.3474], [0.3979, 0.1443, 0.2440], [0.4632, 0.1989, 0.9150], [0.4775, 0.4775, 0.6585], [0.5225, 0.5225, 0.3415], [0.5368, 0.8011, 0.0850], [0.6021, 0.8557, 0.7560], [0.7216, 0.1855, 0.6526], [0.8011, 0.5368, 0.0850], [0.8145, 0.2784, 0.3474], [0.8557, 0.6021, 0.7560], [0.9461, 0.9461, 0.1361]]
}

***

Repeat the third record exactly.
{
  "formula": "TmAgW2O8",
  "functional": "GGA+U",
  "state": "relaxed",
  "dft_energy_ev_per_cell": -174.00,
  "energy_corrected_mp2020_ev_per_cell": -202.7,
  "crystal_system": "monoclinic",
  "e_form_ev_per_atom": -2.38,
  "cell": [[4.9845, -5.3739, 0.0000], [4.9845, 5.3739, 0.0000], [-4.3619, 0.0000, 5.8346]],
  "species": ["Tm", "Tm", "Ag", "Ag", "W", "W", "W", "W", "O", "O", "O", "O", "O", "O", "O", "O", "O", "O", "O", "O", "O", "O", "O", "O"],
  "fractional_positions": [[0.1984, 0.8016, 0.0000], [0.8016, 0.1984, 0.0000], [0.1815, 0.1815, 0.5182], [0.8185, 0.8185, 0.4818], [0.2887, 0.2887, 0.0318], [0.3343, 0.6657, 0.5000], [0.6657, 0.3343, 0.5000], [0.7113, 0.7113, 0.9682], [0.0539, 0.0539, 0.8639], [0.1443, 0.3979, 0.2440], [0.1855, 0.7216, 0.6526], [0.1989, 0.4632, 0.9150], [0.2784, 0.8145, 0.3474], [0.3979, 0.1443, 0.2440], [0.4632, 0.1989, 0.9150], [0.4775, 0.4775, 0.6585], [0.5225, 0.5225, 0.3415], [0.5368, 0.8011, 0.0850], [0.6021, 0.8557, 0.7560], [0.7216, 0.1855, 0.6526], [0.8011, 0.5368, 0.0850], [0.8145, 0.2784, 0.3474], [0.8557, 0.6021, 0.7560], [0.9461, 0.9461, 0.1361]]
}